Material: Na3La2Ge2P5SO24
Method: DFT, PBE
State: relaxed

Cell: 8.993 8.956 22.697 Å, 90.19 90.20 119.13°
Fractional positions:
P 0.713 0.016 0.746
O 0.344 0.874 0.255
O 0.654 0.507 0.642
O 0.946 0.768 0.073
O 0.166 0.015 0.904
Na 0.338 0.667 0.669
O 0.501 0.351 0.143
Na 0.655 0.324 0.836
O 0.009 0.787 0.695
O 0.654 0.156 0.143
Na 0.016 0.996 0.491
O 0.951 0.151 0.301
Na 0.005 0.358 0.751
O 0.815 0.778 0.305
P 0.940 0.345 0.587
Na 0.672 0.950 0.583
O 0.849 0.350 0.529
O 0.377 0.501 0.086
O 0.124 0.651 0.761
La 0.019 0.997 0.640
O 0.486 0.301 0.745
O 0.588 0.698 0.969
O 0.807 0.293 0.246
O 0.852 0.351 0.646
O 0.366 0.440 0.365
O 0.217 0.173 0.805
O 0.541 0.918 0.368
O 0.812 0.515 0.427
P 0.932 0.593 0.080
O 0.946 0.177 0.582
P 0.998 0.331 0.916
O 0.521 0.656 0.257
O 0.125 0.457 0.261
Ge 0.661 0.321 0.982
O 0.218 0.032 0.304
O 0.110 0.606 0.082
Ge 0.676 0.343 0.186
O 0.497 0.624 0.585
P 0.412 0.074 0.581
O 0.300 0.411 0.469
La 0.315 0.663 0.515
O 0.119 0.502 0.589
O 0.504 0.160 0.640
O 0.814 0.776 0.579
S 0.670 0.667 0.917
La 0.327 0.666 0.324
Na 0.054 0.329 0.083
O 0.698 0.507 0.245
O 0.110 0.715 0.470
S 0.315 0.024 0.252
La 0.337 0.680 0.827
O 0.651 0.501 0.526
O 0.537 0.866 0.758
Na 0.358 0.677 0.170
O 0.396 0.894 0.584
O 0.778 0.991 0.687
P 0.658 0.062 0.086
Ge 0.663 0.339 0.689
O 0.223 0.003 0.196
P 0.334 0.006 0.916
P 0.310 0.294 0.750
O 0.500 0.346 0.028
O 0.073 0.446 0.862
O 0.006 0.218 0.190
O 0.485 0.308 0.425
O 0.484 0.191 0.928
P 0.976 0.281 0.248
O 0.839 0.820 0.909
O 0.812 0.302 0.926
P 0.405 0.343 0.085
Na 0.007 0.988 0.990
P 0.659 0.999 0.420
Ge 0.677 0.341 0.483
P 0.994 0.668 0.415
O 0.980 0.835 0.403
O 0.179 0.160 0.407
O 0.501 0.883 0.088
La 0.338 0.680 0.015
O 0.808 0.515 0.750
O 0.563 0.631 0.864
O 0.693 0.188 0.428
Ge 0.018 0.017 0.843
O 0.839 0.490 0.025
P 0.700 0.683 0.249
O 0.970 0.801 0.807
P 0.977 0.692 0.753
O 0.329 0.471 0.761
O 0.851 0.504 0.140
O 0.483 0.185 0.250
O 0.199 0.225 0.696
O 0.238 0.061 0.574
O 0.692 0.513 0.926
La 0.998 0.981 0.141
O 0.066 0.620 0.363
O 0.385 0.941 0.862
O 0.840 0.017 0.407
O 0.227 0.184 0.082
O 0.113 0.406 0.971
O 0.706 0.190 0.746
O 0.654 0.149 0.027
O 0.592 0.891 0.476
Na 0.675 0.333 0.334
S 0.331 0.330 0.417
O 0.294 0.888 0.969
Ge 0.952 0.976 0.347
O 0.849 0.048 0.797
O 0.779 0.788 0.194
O 0.826 0.055 0.082
O 0.511 0.162 0.525
O 0.981 0.149 0.903
P 0.655 0.598 0.583

Results
Space group: P1, No. 1
Uncorrected energy in eV/atom: -6.894

Material: Na5La2SiGe2P5O24
Method: DFT, PBE
State: relaxed

Cell: 9.167 9.217 22.858 Å, 90.32 89.39 120.71°
Fractional positions:
O 0.044 0.836 0.426
P 0.636 0.696 0.914
Ge 0.317 0.665 0.009
Na 0.375 0.997 0.749
O 0.353 0.865 0.248
O 0.531 0.882 0.372
P 0.051 0.351 0.916
O 0.814 0.865 0.911
Na 0.316 0.648 0.661
O 0.503 0.188 0.237
Ge 0.005 0.000 0.651
O 0.284 0.833 0.970
La 0.668 0.338 0.974
O 0.809 0.312 0.242
P 0.287 0.265 0.746
P 0.686 0.661 0.239
O 0.646 0.136 0.431
O 0.125 0.497 0.249
Na 0.346 0.667 0.165
O 0.877 0.507 0.429
O 0.132 0.951 0.910
O 0.404 0.113 0.524
O 0.507 0.128 0.637
O 0.844 0.555 0.029
O 0.222 0.987 0.191
P 0.382 0.350 0.085
O 0.178 0.178 0.692
P 0.333 0.020 0.245
O 0.848 0.046 0.807
O 0.501 0.371 0.138
O 0.880 0.496 0.141
O 0.120 0.660 0.363
Ge 0.673 0.315 0.681
P 0.670 0.646 0.592
O 0.204 0.159 0.803
O 0.692 0.495 0.237
Na 0.651 0.332 0.329
O 0.478 0.346 0.428
P 0.327 0.376 0.427
O 0.158 0.626 0.070
O 0.875 0.285 0.529
O 0.663 0.546 0.919
Na 0.001 0.992 0.992
O 0.481 0.857 0.078
O 0.005 0.240 0.189
Na 0.666 0.970 0.587
O 0.443 0.301 0.031
Si 0.348 0.018 0.586
P 0.627 0.959 0.429
P 0.651 0.032 0.084
P 0.977 0.331 0.586
O 0.638 0.518 0.643
O 0.141 0.706 0.747
Ge 0.328 0.670 0.523
O 0.159 0.201 0.429
O 0.318 0.483 0.480
O 0.163 0.998 0.600
Si 0.739 0.025 0.746
Na 0.307 0.976 0.080
Ge 0.672 0.331 0.180
O 0.537 0.709 0.972
La 0.324 0.659 0.806
O 0.003 0.827 0.693
O 0.692 0.142 0.030
O 0.712 0.595 0.533
O 0.153 0.498 0.580
P 0.979 0.717 0.746
Na 0.008 0.991 0.508
La 0.991 0.993 0.350
P 0.300 0.946 0.912
La 0.660 0.342 0.501
O 0.135 0.459 0.863
Si 0.972 0.626 0.082
O 0.453 0.123 0.919
O 0.157 0.446 0.975
O 0.816 0.534 0.741
Na 0.998 0.648 0.247
O 0.803 0.757 0.292
Na 0.683 0.336 0.830
Na 0.674 0.699 0.078
O 0.347 0.834 0.581
Ge 0.990 0.004 0.852
O 0.507 0.663 0.587
O 0.708 0.192 0.739
O 0.547 0.859 0.745
Na 0.342 0.039 0.423
O 0.625 0.123 0.139
O 0.965 0.210 0.301
P 0.978 0.313 0.245
O 0.805 0.979 0.427
O 0.871 0.318 0.920
O 0.468 0.279 0.741
O 0.996 0.176 0.599
O 0.248 0.039 0.302
O 0.949 0.796 0.803
O 0.022 0.821 0.090
O 0.337 0.459 0.369
O 0.762 0.756 0.182
O 0.506 0.627 0.244
Na 0.962 0.301 0.422
O 0.824 0.831 0.600
O 0.050 0.180 0.911
Na 0.030 0.332 0.082
Na 0.627 0.632 0.746
O 0.325 0.871 0.857
O 0.171 0.685 0.475
La 0.001 0.003 0.158
La 0.349 0.667 0.314
O 0.541 0.675 0.858
P 0.050 0.671 0.423
O 0.529 0.848 0.484
O 0.874 0.366 0.636
O 0.383 0.521 0.079
O 0.829 0.997 0.689
O 0.322 0.446 0.746
O 0.196 0.207 0.093
O 0.800 0.999 0.091

Results
Space group: P1, No. 1
Uncorrected energy in eV/atom: -6.829

Material: Na5La3Si3GeS3O24
Method: DFT, PBE
State: relaxed

Cell: 9.577 9.345 23.655 Å, 93.51 88.98 119.59°
Fractional positions:
O 0.963 0.798 0.068
La 0.332 0.670 0.517
O 0.677 0.548 0.640
Na 0.666 0.942 0.579
O 0.680 0.110 0.136
O 0.319 0.840 0.247
O 0.558 0.858 0.470
O 0.237 0.188 0.801
Na 0.996 0.622 0.250
Si 0.685 0.997 0.756
Na 0.655 0.016 0.261
O 0.212 0.984 0.199
S 0.359 0.363 0.417
O 0.535 0.159 0.928
O 0.646 0.176 0.438
O 0.631 0.137 0.754
La 0.000 0.994 0.141
O 0.998 0.769 0.808
O 0.534 0.861 0.082
Na 0.354 0.999 0.769
O 0.111 0.618 0.076
Na 0.691 0.679 0.437
O 0.512 0.360 0.418
O 0.511 0.812 0.758
Na 0.007 0.965 0.504
S 0.022 0.703 0.752
O 0.176 0.704 0.751
O 0.338 0.441 0.470
Ge 0.705 0.360 0.482
O 0.517 0.652 0.576
Na 0.317 0.612 0.680
Si 0.010 0.659 0.419
O 0.664 0.120 0.033
O 0.826 0.019 0.073
O 0.662 0.531 0.247
O 0.211 0.175 0.070
Ge 0.417 0.701 0.820
Si 0.941 0.615 0.075
O 0.832 0.483 0.426
O 0.679 0.509 0.523
S 0.689 0.702 0.251
O 0.367 0.462 0.369
O 0.073 0.625 0.357
S 0.306 0.993 0.249
O 0.470 0.148 0.535
O 0.363 0.474 0.078
La 0.016 0.023 0.849
Si 0.677 0.631 0.582
Na 0.966 0.322 0.409
O 0.364 0.887 0.580
O 0.024 0.810 0.707
O 0.116 0.463 0.577
Na 0.662 0.310 0.341
La 0.005 0.016 0.654
O 0.550 0.654 0.856
O 0.472 0.137 0.249
Si 0.358 0.973 0.917
O 0.319 0.861 0.970
La 0.998 0.007 0.353
O 0.998 0.186 0.201
O 0.499 0.384 0.749
Si 0.308 0.333 0.757
S 0.374 0.322 0.074
O 0.805 0.489 0.021
O 0.851 0.374 0.914
O 0.835 0.815 0.577
Na 0.655 0.663 0.742
La 0.659 0.336 0.687
Na 0.693 0.021 0.918
Ge 0.645 0.358 0.973
O 0.104 0.457 0.868
La 0.328 0.668 0.017
O 0.949 0.164 0.572
Na 0.003 0.977 0.997
S 0.951 0.325 0.575
O 0.130 0.668 0.467
O 0.969 0.196 0.917
O 0.535 0.704 0.251
O 0.786 0.011 0.812
O 0.993 0.225 0.315
O 0.883 0.535 0.744
O 0.459 0.314 0.020
O 0.093 0.451 0.971
La 0.676 0.335 0.178
La 0.320 0.669 0.326
O 0.458 0.318 0.124
O 0.864 0.325 0.522
O 0.967 0.808 0.420
O 0.224 0.001 0.301
O 0.864 0.333 0.626
O 0.205 0.993 0.903
Na 0.271 0.610 0.161
O 0.220 0.195 0.412
O 0.832 0.323 0.253
O 0.789 0.798 0.205
S 0.675 0.029 0.079
O 0.199 0.262 0.699
Si 0.999 0.308 0.254
Na 0.986 0.683 0.919
O 0.776 0.777 0.306
O 0.155 0.495 0.250
O 0.639 0.485 0.920
O 0.203 0.025 0.577
Si 0.641 0.994 0.422
O 0.829 0.038 0.418
Si 0.643 0.667 0.917
O 0.435 0.126 0.638
O 0.307 0.511 0.776
S 0.009 0.373 0.917
O 0.546 0.698 0.968
O 0.862 0.550 0.138
O 0.829 0.812 0.914
Na 0.647 0.317 0.837
O 0.401 0.873 0.859
O 0.769 0.969 0.698
S 0.369 0.051 0.580
O 0.544 0.927 0.361

Results
Space group: P1, No. 1
Uncorrected energy in eV/atom: -6.690